The following is a DFT calculation (PBE) of ErCoSi after structural relaxation.

abc: 6.858 4.173 6.853
angles: 90.00 90.00 90.00
Sites, in units of the cell vectors:
Er (0.020, 0.250, 0.188)
Er (0.480, 0.750, 0.688)
Er (0.520, 0.250, 0.312)
Er (0.980, 0.750, 0.812)
Co (0.144, 0.750, 0.437)
Co (0.356, 0.250, 0.937)
Co (0.644, 0.750, 0.063)
Co (0.856, 0.250, 0.563)
Si (0.195, 0.250, 0.610)
Si (0.305, 0.750, 0.110)
Si (0.695, 0.250, 0.890)
Si (0.805, 0.750, 0.390)

Output
Corrected total energy (MP2020 scheme) in eV for the cell shown: -77.09
Energy of formation from the pure elements in eV/atom: -0.72
Space-group type: Pnma
Raw total energy in eV per cell: -77.378
Volume in Å³ per cell: 196.1


The following is a DFT calculation (PBE) of ErCoSi2 after structural relaxation.

abc: 3.998 16.238 3.965
angles: 90.00 90.00 90.00
Sites, in units of the cell vectors:
Er (0.000, 0.108, 0.250)
Er (0.000, 0.892, 0.750)
Er (0.500, 0.392, 0.750)
Er (0.500, 0.608, 0.250)
Co (0.000, 0.322, 0.250)
Co (0.000, 0.678, 0.750)
Co (0.500, 0.178, 0.750)
Co (0.500, 0.822, 0.250)
Si (0.000, 0.250, 0.750)
Si (0.000, 0.458, 0.250)
Si (0.000, 0.542, 0.750)
Si (0.000, 0.750, 0.250)
Si (0.500, 0.042, 0.750)
Si (0.500, 0.250, 0.250)
Si (0.500, 0.750, 0.750)
Si (0.500, 0.958, 0.250)

Output
Corrected total energy (MP2020 scheme) in eV for the cell shown: -102.00
Energy of formation from the pure elements in eV/atom: -0.74
Space-group type: Cmcm
Raw total energy in eV per cell: -102.572
Volume in Å³ per cell: 257.4


The following is a DFT calculation (PBE) of ErCo9Si2 after structural relaxation.

abc: 7.505 7.505 7.505
angles: 100.01 100.01 130.73
Sites, in units of the cell vectors:
Er (0.375, 0.625, 0.750)
Er (0.625, 0.375, 0.250)
Co (0.125, 0.875, 0.250)
Co (0.137, 0.559, 0.332)
Co (0.137, 0.806, 0.579)
Co (0.194, 0.273, 0.332)
Co (0.194, 0.863, 0.921)
Co (0.273, 0.194, 0.832)
Co (0.273, 0.441, 0.079)
Co (0.441, 0.273, 0.579)
Co (0.441, 0.863, 0.168)
Co (0.559, 0.137, 0.832)
Co (0.559, 0.727, 0.421)
Co (0.727, 0.559, 0.921)
Co (0.727, 0.806, 0.168)
Co (0.806, 0.137, 0.079)
Co (0.806, 0.727, 0.668)
Co (0.863, 0.194, 0.421)
Co (0.863, 0.441, 0.668)
Co (0.875, 0.125, 0.750)
Si (0.000, 0.000, 0.000)
Si (0.000, 0.000, 0.500)
Si (0.000, 0.500, 0.000)
Si (0.500, 0.000, 0.500)

Output
Corrected total energy (MP2020 scheme) in eV for the cell shown: -166.24
Total magnetization in μB/f.u.: 9.57
Energy of formation from the pure elements in eV/atom: -0.31
Space-group type: I4_1/amd
Raw total energy in eV per cell: -166.524
Volume in Å³ per cell: 291.2


The following is a DFT calculation (PBE) of Er4CoSn8 after structural relaxation.

abc: 4.410 4.431 16.477
angles: 90.00 90.00 90.00
Sites, in units of the cell vectors:
Er (0.000, 0.000, 0.000)
Er (0.000, 0.500, 0.494)
Er (0.500, 0.000, 0.794)
Er (0.500, 0.500, 0.298)
Co (0.000, 0.500, 0.702)
Sn (0.000, 0.000, 0.333)
Sn (0.000, 0.000, 0.633)
Sn (0.000, 0.500, 0.146)
Sn (0.000, 0.500, 0.850)
Sn (0.500, 0.000, 0.151)
Sn (0.500, 0.000, 0.461)
Sn (0.500, 0.500, 0.634)
Sn (0.500, 0.500, 0.970)

Output
Total magnetization in μB/f.u.: 0.00
Energy of formation from the pure elements in eV/atom: -0.49
Space-group type: Pmm2
Raw total energy in eV per cell: -63.887
Volume in Å³ per cell: 322.0


The following is a DFT calculation (PBE) of Er7Co6Sn23 after structural relaxation.

abc: 9.684 9.684 9.952
angles: 90.00 90.00 120.00
Sites, in units of the cell vectors:
Er (0.000, 0.000, 0.000)
Er (0.042, 0.521, 0.306)
Er (0.479, 0.521, 0.306)
Er (0.479, 0.958, 0.306)
Er (0.521, 0.042, 0.694)
Er (0.521, 0.479, 0.694)
Er (0.958, 0.479, 0.694)
Co (0.168, 0.335, 0.802)
Co (0.168, 0.832, 0.802)
Co (0.335, 0.168, 0.198)
Co (0.665, 0.832, 0.802)
Co (0.832, 0.168, 0.198)
Co (0.832, 0.665, 0.198)
Sn (0.000, 0.000, 0.500)
Sn (0.000, 0.346, 0.000)
Sn (0.000, 0.654, 0.000)
Sn (0.118, 0.237, 0.275)
Sn (0.118, 0.882, 0.275)
Sn (0.219, 0.438, 0.547)
Sn (0.219, 0.781, 0.547)
Sn (0.237, 0.118, 0.725)
Sn (0.333, 0.667, 0.118)
Sn (0.333, 0.667, 0.818)
Sn (0.346, 0.000, 0.000)
Sn (0.346, 0.346, 0.000)
Sn (0.438, 0.219, 0.453)
Sn (0.562, 0.781, 0.547)
Sn (0.654, 0.000, 0.000)
Sn (0.654, 0.654, 0.000)
Sn (0.667, 0.333, 0.182)
Sn (0.667, 0.333, 0.882)
Sn (0.763, 0.882, 0.275)
Sn (0.781, 0.219, 0.453)
Sn (0.781, 0.562, 0.453)
Sn (0.882, 0.118, 0.725)
Sn (0.882, 0.763, 0.725)

Output
Energy of formation from the pure elements in eV/atom: -0.39
Space-group type: P-3m1
Raw total energy in eV per cell: -181.063
Volume in Å³ per cell: 808.2


The following is a DFT calculation (PBE) of Er7Co6Sn23 after structural relaxation.

abc: 10.069 10.069 10.966
angles: 90.00 90.00 120.00
Sites, in units of the cell vectors:
Er (0.000, 0.000, 0.000)
Er (0.049, 0.524, 0.289)
Er (0.476, 0.524, 0.289)
Er (0.476, 0.951, 0.289)
Er (0.524, 0.049, 0.711)
Er (0.524, 0.476, 0.711)
Er (0.951, 0.476, 0.711)
Co (0.194, 0.387, 0.150)
Co (0.194, 0.806, 0.150)
Co (0.387, 0.194, 0.850)
Co (0.613, 0.806, 0.150)
Co (0.806, 0.194, 0.850)
Co (0.806, 0.613, 0.850)
Sn (0.000, 0.000, 0.500)
Sn (0.000, 0.348, 0.000)
Sn (0.000, 0.652, 0.000)
Sn (0.117, 0.233, 0.323)
Sn (0.117, 0.883, 0.323)
Sn (0.228, 0.456, 0.557)
Sn (0.228, 0.772, 0.557)
Sn (0.233, 0.117, 0.677)
Sn (0.333, 0.667, 0.109)
Sn (0.333, 0.667, 0.799)
Sn (0.348, 0.000, 0.000)
Sn (0.348, 0.348, 0.000)
Sn (0.456, 0.228, 0.443)
Sn (0.544, 0.772, 0.557)
Sn (0.652, 0.000, 0.000)
Sn (0.652, 0.652, 0.000)
Sn (0.667, 0.333, 0.201)
Sn (0.667, 0.333, 0.891)
Sn (0.767, 0.883, 0.323)
Sn (0.772, 0.228, 0.443)
Sn (0.772, 0.544, 0.443)
Sn (0.883, 0.117, 0.677)
Sn (0.883, 0.767, 0.677)

Output
Total magnetization in μB/f.u.: 0.06
Energy of formation from the pure elements in eV/atom: -0.10
Space-group type: P-3m1
Raw total energy in eV per cell: -170.306
Volume in Å³ per cell: 962.9


The following is a DFT calculation (PBE) of Er6Co2Sn after structural relaxation.

abc: 8.316 8.316 8.316
angles: 111.41 109.83 107.21
Sites, in units of the cell vectors:
Er (0.011, 0.227, 0.784)
Er (0.184, 0.291, 0.475)
Er (0.184, 0.709, 0.894)
Er (0.317, 0.016, 0.699)
Er (0.317, 0.617, 0.301)
Er (0.444, 0.227, 0.216)
Er (0.556, 0.773, 0.784)
Er (0.683, 0.383, 0.699)
Er (0.683, 0.984, 0.301)
Er (0.816, 0.291, 0.106)
Er (0.816, 0.709, 0.525)
Er (0.989, 0.773, 0.216)
Co (0.114, 0.614, 0.500)
Co (0.382, 0.000, 0.382)
Co (0.618, 0.000, 0.618)
Co (0.886, 0.386, 0.500)
Sn (0.000, 0.000, 0.000)
Sn (0.500, 0.500, 0.000)

Output
Energy of formation from the pure elements in eV/atom: -0.35
Space-group type: Immm
Raw total energy in eV per cell: -97.574
Volume in Å³ per cell: 442.2


The following is a DFT calculation (PBE) of ErCoSn after structural relaxation.

abc: 7.187 4.562 7.321
angles: 90.00 90.00 90.00
Sites, in units of the cell vectors:
Er (0.022, 0.250, 0.202)
Er (0.478, 0.750, 0.702)
Er (0.522, 0.250, 0.298)
Er (0.978, 0.750, 0.798)
Co (0.159, 0.750, 0.441)
Co (0.341, 0.250, 0.941)
Co (0.659, 0.750, 0.059)
Co (0.841, 0.250, 0.559)
Sn (0.204, 0.250, 0.607)
Sn (0.296, 0.750, 0.107)
Sn (0.704, 0.250, 0.893)
Sn (0.796, 0.750, 0.393)

Output
Energy of formation from the pure elements in eV/atom: -0.49
Space-group type: Pnma
Raw total energy in eV per cell: -68.642
Volume in Å³ per cell: 240.1


The following is a DFT calculation (PBE) of Er6CoTe2 after structural relaxation.

abc: 8.288 8.288 3.891
angles: 90.00 90.00 120.00
Sites, in units of the cell vectors:
Er (0.000, 0.237, 0.000)
Er (0.000, 0.604, 0.500)
Er (0.237, 0.000, 0.000)
Er (0.396, 0.396, 0.500)
Er (0.604, 0.000, 0.500)
Er (0.763, 0.763, 0.000)
Co (0.000, 0.000, 0.500)
Te (0.333, 0.667, 0.000)
Te (0.667, 0.333, 0.000)

Output
Corrected total energy (MP2020 scheme) in eV for the cell shown: -47.52
Energy of formation from the pure elements in eV/atom: -0.75
Space-group type: P-62m
Raw total energy in eV per cell: -46.681
Volume in Å³ per cell: 231.5


The following is a DFT calculation (PBE) of ErTiCo11 after structural relaxation.

abc: 6.331 6.331 6.331
angles: 136.57 97.58 98.16
Sites, in units of the cell vectors:
Er (0.000, 0.000, 0.000)
Ti (0.376, 0.376, 0.000)
Co (0.003, 0.003, 0.495)
Co (0.003, 0.507, 0.000)
Co (0.226, 0.508, 0.718)
Co (0.226, 0.726, 0.500)
Co (0.367, 0.009, 0.358)
Co (0.508, 0.003, 0.000)
Co (0.508, 0.507, 0.505)
Co (0.650, 0.009, 0.642)
Co (0.654, 0.654, 0.000)
Co (0.783, 0.283, 0.500)
Co (0.790, 0.508, 0.282)

Output
Total magnetization in μB/f.u.: 14.84
Energy of formation from the pure elements in eV/atom: -0.15
Space-group type: Imm2
Raw total energy in eV per cell: -92.542
Volume in Å³ per cell: 162.0


The following is a DFT calculation (PBE) of EuGa8Co2 after structural relaxation.

abc: 12.547 14.321 4.051
angles: 90.00 90.00 90.00
Sites, in units of the cell vectors:
Eu (0.157, 0.181, 0.000)
Eu (0.343, 0.681, 0.000)
Eu (0.657, 0.319, 0.000)
Eu (0.843, 0.819, 0.000)
Ga (0.000, 0.000, 0.000)
Ga (0.000, 0.500, 0.500)
Ga (0.023, 0.867, 0.500)
Ga (0.050, 0.319, 0.500)
Ga (0.098, 0.745, 0.000)
Ga (0.162, 0.455, 0.000)
Ga (0.163, 0.620, 0.500)
Ga (0.170, 0.010, 0.500)
Ga (0.239, 0.826, 0.500)
Ga (0.261, 0.326, 0.500)
Ga (0.330, 0.510, 0.500)
Ga (0.337, 0.120, 0.500)
Ga (0.338, 0.955, 0.000)
Ga (0.402, 0.245, 0.000)
Ga (0.450, 0.819, 0.500)
Ga (0.477, 0.367, 0.500)
Ga (0.500, 0.000, 0.500)
Ga (0.500, 0.500, 0.000)
Ga (0.523, 0.633, 0.500)
Ga (0.550, 0.181, 0.500)
Ga (0.598, 0.755, 0.000)
Ga (0.662, 0.045, 0.000)
Ga (0.663, 0.880, 0.500)
Ga (0.670, 0.490, 0.500)
Ga (0.739, 0.674, 0.500)
Ga (0.761, 0.174, 0.500)
Ga (0.830, 0.990, 0.500)
Ga (0.837, 0.380, 0.500)
Ga (0.838, 0.545, 0.000)
Ga (0.902, 0.255, 0.000)
Ga (0.950, 0.681, 0.500)
Ga (0.977, 0.133, 0.500)
Co (0.034, 0.593, 0.000)
Co (0.152, 0.903, 0.000)
Co (0.348, 0.403, 0.000)
Co (0.466, 0.093, 0.000)
Co (0.534, 0.907, 0.000)
Co (0.652, 0.597, 0.000)
Co (0.848, 0.097, 0.000)
Co (0.966, 0.407, 0.000)

Output
Total magnetization in μB/f.u.: 6.89
Energy of formation from the pure elements in eV/atom: -0.37
Space-group type: Pbam
Raw total energy in eV per cell: -211.195
Volume in Å³ per cell: 727.9


The following is a DFT calculation (PBE) of EuGa3Co2 after structural relaxation.

abc: 6.270 6.270 5.277
angles: 90.00 90.00 76.10
Sites, in units of the cell vectors:
Eu (0.155, 0.845, 0.750)
Eu (0.845, 0.155, 0.250)
Ga (0.028, 0.584, 0.250)
Ga (0.416, 0.972, 0.250)
Ga (0.448, 0.552, 0.250)
Ga (0.552, 0.448, 0.750)
Ga (0.584, 0.028, 0.750)
Ga (0.972, 0.416, 0.750)
Co (0.296, 0.296, 0.000)
Co (0.296, 0.296, 0.500)
Co (0.704, 0.704, 0.000)
Co (0.704, 0.704, 0.500)

Output
Energy of formation from the pure elements in eV/atom: -0.41
Space-group type: Cmcm
Raw total energy in eV per cell: -71.987
Volume in Å³ per cell: 201.4